A plane-wave DFT calculation with GGA-PBE was carried out for a relaxed structure of SrSi2Au2.

Geometry as extended XYZ:
```
5
Lattice="-2.2311 2.2311 5.1100 2.2311 -2.2311 5.1100 2.2311 2.2311 -5.1100" Properties=species:S:1:pos:R:3 pbc="T T T"
Sr 0.0000 0.0000 0.0000
Si 0.0000 0.0000 3.9180
Si 0.0000 0.0000 6.3020
Au 2.2311 0.0000 2.5550
Au 0.0000 2.2311 2.5550
```

Results
E_form: -491 meV per atom
DFT total energy: -4.308 eV per atom



A plane-wave DFT calculation with GGA-PBE was carried out for a relaxed structure of EuAsS.

Geometry as extended XYZ:
```
12
Lattice="17.8474 0.0000 0.0000 0.0000 3.8990 0.0000 0.0000 0.0000 4.0479" Properties=species:S:1:pos:R:3 pbc="T T T"
Eu 2.8068 0.9748 0.8825
Eu 6.1169 2.9243 2.9065
Eu 11.7305 0.9748 1.1415
Eu 15.0406 2.9243 3.1655
As 0.0647 0.9748 2.8057
As 8.8590 2.9243 0.7818
As 8.9884 0.9748 3.2662
As 17.7827 2.9243 1.2422
S 3.2454 2.9243 2.9177
S 5.6783 0.9748 0.8937
S 12.1691 2.9243 3.1543
S 14.6020 0.9748 1.1303
```

Results
E_form: -1455 meV per atom
DFT total energy: -7.638 eV per atom
MP2020-corrected energy: -93.7 eV for the cell shown
magnetization: 25.973 μB/cell



A plane-wave DFT calculation with GGA-PBE was carried out for a relaxed structure of Cs2TlHgBr6.

Geometry as extended XYZ:
```
10
Lattice="0.0000 5.7692 5.7692 5.7692 0.0000 5.7692 5.7692 5.7692 0.0000" Properties=species:S:1:pos:R:3 pbc="T T T"
Cs 2.8846 2.8846 2.8846
Cs 8.6539 8.6539 8.6539
Tl 0.0000 0.0000 0.0000
Hg 5.7692 5.7692 5.7692
Br 5.7692 5.7692 2.9343
Br 5.7692 2.9343 5.7692
Br 8.6042 5.7692 5.7692
Br 2.9343 5.7692 5.7692
Br 5.7692 8.6042 5.7692
Br 5.7692 5.7692 8.6042
```

Results
E_form: -1383 meV per atom
DFT total energy: -2.491 eV per atom
MP2020-corrected energy: -28.1 eV for the cell shown
magnetization: 0.000 μB/cell



A plane-wave DFT calculation with GGA-PBE was carried out for a relaxed structure of Ca4NbGaO8.

Geometry as extended XYZ:
```
56
Lattice="11.2903 0.0000 0.0000 0.0000 5.6483 0.0000 -7.4582 0.0000 12.1175" Properties=species:S:1:pos:R:3 pbc="T T T"
Ca 0.0369 1.3833 1.2038
Ca -3.6922 1.4409 7.2625
Ca -3.7953 4.1194 10.6367
Ca -0.0662 4.3531 4.5780
Ca -1.4991 4.1148 7.7576
Ca 2.2300 4.3577 1.6989
Ca 0.1966 1.2665 6.8985
Ca 3.9257 1.5576 0.8397
Ca -0.0936 4.0907 11.2777
Ca 3.6355 4.3818 5.2190
Ca 1.6021 1.2906 10.4186
Ca 5.3312 1.5335 4.3598
Ca 3.8983 1.2952 7.5395
Ca 7.6274 1.5290 1.4808
Ca 7.5243 4.2074 4.8550
Ca 3.7952 4.2651 10.9137
Nb -1.8932 1.4075 4.4685
Nb -5.6223 1.4167 10.5272
Nb 9.4544 4.2316 1.5902
Nb 5.7253 4.2409 7.6490
Ga -1.7713 1.1894 10.0389
Ga 1.9578 1.6347 3.9801
Ga 1.8743 4.0136 8.1373
Ga 5.6034 4.4589 2.0786
O -5.2676 0.4059 8.7707
O -1.5385 2.4183 2.7120
O -3.7158 3.7910 7.7391
O 0.0133 4.6816 1.6803
O -2.0744 0.1566 5.9893
O -5.8035 2.6676 12.0480
O -1.5766 2.9264 5.6295
O -5.3057 5.5462 11.6882
O 0.2187 1.0354 4.5263
O -3.5104 1.7887 10.5850
O 2.2234 0.9978 2.2741
O -1.5058 1.8264 8.3328
O 1.9539 3.5149 3.9239
O -1.7752 4.9576 9.9827
O 4.3513 3.8496 0.8435
O 0.6221 4.6229 6.9022
O 3.2100 1.0254 5.2153
O -0.5192 1.7988 11.2740
O 5.6073 0.6907 2.1348
O 1.8782 2.1335 8.1935
O 5.3379 3.8219 3.7846
O 1.6087 4.6506 9.8434
O 7.3425 3.8596 1.5324
O 3.6134 4.6129 7.5912
O 9.1378 0.1022 0.4292
O 5.4087 2.7220 6.4880
O 9.6356 2.9807 0.0694
O 5.9065 5.4918 6.1282
O 3.8188 0.9668 10.4371
O 7.5479 1.8574 4.3784
O 5.3706 3.2300 9.4055
O 9.0997 5.2425 3.3467
```

Results
E_form: -3144 meV per atom
DFT total energy: -7.090 eV per atom
MP2020-corrected energy: -419.0 eV for the cell shown
magnetization: 0.003 μB/cell



A plane-wave DFT calculation with GGA-PBE was carried out for a relaxed structure of CaAg2O4.

Geometry as extended XYZ:
```
28
Lattice="9.6151 0.0000 0.0000 0.0000 3.3261 0.0000 0.0000 0.0000 11.2671" Properties=species:S:1:pos:R:3 pbc="T T T"
Ca 2.3210 0.8315 1.7770
Ca 2.4866 2.4946 7.4105
Ca 7.1286 0.8315 3.8566
Ca 7.2941 2.4946 9.4901
Ag 0.6006 0.8315 4.3749
Ag 0.8009 0.8315 10.0704
Ag 4.0066 2.4946 4.4368
Ag 4.2069 2.4946 10.0084
Ag 5.4082 0.8315 1.2587
Ag 5.6085 0.8315 6.8302
Ag 8.8142 2.4946 1.1967
Ag 9.0145 2.4946 6.8922
O 0.1973 2.4946 8.7667
O 1.0183 0.8315 6.4196
O 1.1220 2.4946 0.3847
O 2.1026 2.4946 3.6016
O 2.7050 0.8315 9.2352
O 3.6855 0.8315 6.0182
O 3.7893 2.4946 0.7861
O 4.6103 0.8315 3.1332
O 5.0049 2.4946 8.1339
O 5.8259 0.8315 10.4810
O 5.9296 2.4946 5.2489
O 6.9102 2.4946 2.0319
O 7.5125 0.8315 7.6655
O 8.4931 0.8315 10.8824
O 8.5968 2.4946 4.8475
O 9.4178 0.8315 2.5004
```

Results
E_form: -1162 meV per atom
DFT total energy: -4.692 eV per atom
MP2020-corrected energy: -142.4 eV for the cell shown
magnetization: 0.000 μB/cell
energy relative to the lowest polymorph listed for this composition: 1.293 eV per formula unit



A plane-wave DFT calculation with GGA-PBE was carried out for a relaxed structure of Al8V5.

Geometry as extended XYZ:
```
26
Lattice="-4.5995 4.5995 4.5995 4.5995 -4.5995 4.5995 4.5995 4.5995 -4.5995" Properties=species:S:1:pos:R:3 pbc="T T T"
Al 1.0242 1.0242 -1.0241
Al 1.0242 -1.0241 1.0242
Al 4.8238 1.6681 -1.6681
Al 4.8238 -1.6681 1.6681
Al 8.1748 1.0241 1.0241
Al 2.9314 2.9314 -0.2244
Al 2.9314 -0.2244 2.9314
Al 6.2676 0.2244 2.9314
Al 6.2676 2.9314 0.2244
Al 4.3751 1.6681 1.6681
Al -0.2244 2.9314 2.9314
Al 1.6681 4.3751 1.6681
Al 1.6681 1.6681 4.3751
Al -1.6681 4.8238 1.6681
Al -1.6681 1.6681 4.8238
Al 3.5753 3.5753 3.5753
V 3.0058 3.0058 -3.0058
V 3.1867 0.0000 0.0000
V 3.0058 -3.0058 3.0058
V 6.0123 0.0000 0.0000
V 0.0000 3.1867 0.0000
V 0.0000 0.0000 3.1867
V 1.5937 1.5937 1.5937
V -3.0058 3.0058 3.0058
V 0.0000 6.0123 0.0000
V 0.0000 0.0000 6.0123
```

Results
E_form: -203 meV per atom
DFT total energy: -6.002 eV per atom
magnetization: 4.136 μB/cell
energy relative to the lowest polymorph listed for this composition: 0.235 eV per formula unit